A plane-wave DFT calculation with GGA-PBE was carried out for a relaxed structure of TbHoO3.

```
TbHoO3
1.0
5.952 0.000 0.000
0.000 8.435 0.000
0.000 0.000 5.692
Tb Ho O
4 4 12
Direct
0.052 0.250 0.017
0.448 0.750 0.517
0.552 0.250 0.483
0.948 0.750 0.983
0.000 0.000 0.500
0.000 0.500 0.500
0.500 0.000 0.000
0.500 0.500 0.000
0.080 0.750 0.352
0.185 0.578 0.818
0.185 0.922 0.818
0.315 0.078 0.318
0.315 0.422 0.318
0.420 0.250 0.852
0.580 0.750 0.148
0.685 0.578 0.682
0.685 0.922 0.682
0.815 0.078 0.182
0.815 0.422 0.182
0.920 0.250 0.648
```

Properties
calculated density: 8.6 g/cm³
DFT formation energy: -1888 kJ/mol of formula units
space-group type: Pnma, No. 62

---

A plane-wave DFT calculation with GGA-PBE was carried out for a relaxed structure of CsMgBiO3.

```
CsMgBiO3
1.0
4.515 0.000 0.000
0.000 4.515 0.000
0.000 0.000 5.644
Cs Mg Bi O
1 1 1 3
Direct
0.000 0.000 0.000
0.000 0.000 0.500
0.500 0.500 0.500
0.000 0.500 0.500
0.500 0.000 0.500
0.500 0.500 0.000
```

Properties
calculated density: 6.0 g/cm³
DFT formation energy: -778 kJ/mol of formula units
space-group type: P4/mmm, No. 123
offset from the most stable computed form: 548 meV/atom

---

A plane-wave DFT calculation with GGA-PBE was carried out for a relaxed structure of TeMoWSeS2.

```
TeMoWSeS2
1.0
3.306 0.000 0.000
-1.653 2.863 0.000
0.000 0.000 37.608
Te Mo W Se S
2 2 2 2 4
Direct
0.000 0.000 0.000
0.000 0.000 0.102
0.667 0.333 0.051
0.667 0.333 0.427
0.000 0.000 0.239
0.000 0.000 0.614
0.667 0.333 0.570
0.667 0.333 0.659
0.000 0.000 0.386
0.000 0.000 0.467
0.667 0.333 0.198
0.667 0.333 0.280
```

Properties
calculated density: 5.1 g/cm³
DFT formation energy: -430 kJ/mol of formula units
space-group type: P3m1, No. 156
offset from the most stable computed form: 17 meV/atom

---

A plane-wave DFT calculation with GGA-PBE was carried out for a relaxed structure of LiAl4Zn2O8.

```
LiAl4Zn2O8
1.0
4.964 -2.898 0.000
4.964 2.898 0.000
-3.169 0.000 5.060
Li Al Zn O
1 4 2 8
Direct
0.000 0.000 0.000
0.140 0.140 0.449
0.500 0.500 0.000
0.500 0.500 0.500
0.860 0.860 0.551
0.000 0.500 0.000
0.500 0.000 0.000
0.259 0.730 0.746
0.264 0.264 0.299
0.270 0.741 0.254
0.279 0.279 0.800
0.721 0.721 0.200
0.730 0.259 0.746
0.736 0.736 0.701
0.741 0.270 0.254
```

Properties
calculated density: 4.3 g/cm³
DFT formation energy: -3638 kJ/mol of formula units
space-group type: C2/m, No. 12
offset from the most stable computed form: 27 meV/atom

---

A plane-wave DFT calculation with GGA-PBE was carried out for a relaxed structure of FeSn4H24C8Se10N2.

```
FeSn4H24C8Se10N2
1.0
-5.229 5.229 8.166
5.229 -5.229 8.166
5.229 5.229 -8.166
Fe Sn H C Se N
1 4 24 8 10 2
Direct
0.000 0.000 0.000
0.473 0.096 0.249
0.776 0.527 0.623
0.847 0.224 0.751
0.904 0.153 0.377
0.025 0.608 0.316
0.043 0.792 0.363
0.073 0.775 0.530
0.208 0.570 0.251
0.225 0.755 0.299
0.245 0.544 0.470
0.276 0.467 0.926
0.291 0.709 0.684
0.291 0.975 0.582
0.320 0.957 0.749
0.338 0.413 0.725
0.387 0.662 0.076
0.391 0.267 0.840
0.392 0.709 0.418
0.427 0.551 0.160
0.430 0.680 0.637
0.449 0.609 0.876
0.456 0.927 0.701
0.533 0.459 0.810
0.541 0.351 0.074
0.587 0.312 0.924
0.649 0.724 0.190
0.688 0.613 0.275
0.733 0.573 0.124
0.085 0.730 0.421
0.270 0.691 0.355
0.309 0.664 0.579
0.336 0.915 0.645
0.389 0.549 0.044
0.451 0.495 0.840
0.505 0.345 0.956
0.655 0.611 0.160
0.019 0.137 0.645
0.078 0.056 0.282
0.204 0.922 0.978
0.491 0.373 0.355
0.564 0.064 0.500
0.627 0.981 0.118
0.774 0.796 0.718
0.863 0.509 0.882
0.936 0.436 0.500
0.944 0.226 0.022
0.250 0.750 0.500
0.500 0.500 0.000
```

Properties
calculated density: 2.7 g/cm³
DFT formation energy: -1008 kJ/mol of formula units
space-group type: I-4, No. 82

---

A plane-wave DFT calculation with GGA-PBE was carried out for a relaxed structure of Pm2CdSn.

```
Pm2CdSn
1.0
0.000 3.832 3.832
3.832 0.000 3.832
3.832 3.832 0.000
Pm Cd Sn
2 1 1
Direct
0.250 0.250 0.250
0.750 0.750 0.750
0.000 0.000 0.000
0.500 0.500 0.500
```

Properties
calculated density: 7.7 g/cm³
DFT formation energy: -206 kJ/mol of formula units
space-group type: Fm-3m, No. 225

---

A plane-wave DFT calculation with GGA-PBE was carried out for a relaxed structure of La3Cl.

```
La3Cl
1.0
-2.403 2.403 5.455
2.403 -2.403 5.455
2.403 2.403 -5.455
La Cl
3 1
Direct
0.000 0.000 0.000
0.250 0.750 0.500
0.750 0.250 0.500
0.500 0.500 0.000
```

Properties
calculated density: 6.0 g/cm³
DFT formation energy: -145 kJ/mol of formula units
space-group type: I4/mmm, No. 139
offset from the most stable computed form: 0 meV/atom

---

A plane-wave DFT calculation with GGA-PBE was carried out for a relaxed structure of Na2MgCuO2.

```
Na2MgCuO2
1.0
3.130 0.000 0.000
0.142 4.764 0.000
0.211 1.392 5.644
Na Mg Cu O
2 1 1 2
Direct
0.000 0.000 0.000
0.472 0.473 0.164
0.970 0.908 0.515
0.499 0.409 0.679
0.483 0.929 0.302
0.980 0.596 0.825
```

Properties
calculated density: 3.3 g/cm³
DFT formation energy: -786 kJ/mol of formula units
space-group type: P1, No. 1
offset from the most stable computed form: 88 meV/atom